1.
Computed, not measured: a relaxed structure of Fe3OF5 at the PBE with a Hubbard U level of DFT.

**M_tot**: 26.00 Bohr magnetons per cell

Geometry as CIF:
```
data_Fe3OF5
_chemical_formula_sum 'Fe6 O2 F10'
_cell_length_a 5.777
_cell_length_b 5.831
_cell_length_c 7.625
_cell_angle_alpha 72.49
_cell_angle_beta 71.34
_cell_angle_gamma 71.67
_symmetry_space_group_name_H-M 'P -1'
_symmetry_Int_Tables_number 2
loop_
_symmetry_equiv_pos_as_xyz
'x,y,z'
'-x,-y,-z'
loop_
_atom_site_label
_atom_site_type_symbol
_atom_site_fract_x
_atom_site_fract_y
_atom_site_fract_z
Fe1 Fe 0.000 0.000 0.000
Fe2 Fe 0.000 0.000 0.500
Fe3 Fe 0.329 0.310 0.179
Fe4 Fe 0.359 0.308 0.666
O1 O 0.356 0.991 0.322
F1 F 0.040 0.609 0.680
F2 F 0.095 0.099 0.707
F3 F 0.226 0.244 0.974
F4 F 0.314 0.687 0.000
F5 F 0.422 0.438 0.359
```

=====

2.
Computed, not measured: a relaxed structure of Fe3OF5 at the PBE with a Hubbard U level of DFT.

**M_tot**: 52.00 Bohr magnetons per cell

Geometry as CIF:
```
data_Fe3OF5
_chemical_formula_sum 'Fe12 O4 F20'
_cell_length_a 9.322
_cell_length_b 6.860
_cell_length_c 7.462
_cell_angle_alpha 90.00
_cell_angle_beta 109.83
_cell_angle_gamma 90.00
_symmetry_space_group_name_H-M 'C 1 m 1'
_symmetry_Int_Tables_number 8
loop_
_symmetry_equiv_pos_as_xyz
'x,y,z'
'x,-y,z'
'x+1/2,y+1/2,z'
'x+1/2,-y+1/2,z'
loop_
_atom_site_label
_atom_site_type_symbol
_atom_site_fract_x
_atom_site_fract_y
_atom_site_fract_z
Fe1 Fe 0.000 0.000 0.000
Fe2 Fe 0.004 0.000 0.502
Fe3 Fe 0.158 0.500 0.155
Fe4 Fe 0.164 0.500 0.681
Fe5 Fe 0.325 0.000 0.359
Fe6 Fe 0.343 0.000 0.822
O1 O 0.078 0.500 0.894
O2 O 0.230 0.000 0.533
F1 F 0.103 0.000 0.806
F2 F 0.174 0.198 0.181
F3 F 0.254 0.500 0.453
F4 F 0.337 0.301 0.839
F5 F 0.387 0.500 0.196
F6 F 0.441 0.000 0.159
F7 F 0.490 0.196 0.491
```

=====

Least stable structure: 2

=====

1.
Computed, not measured: a relaxed structure of Fe4O3F5 at the PBE with a Hubbard U level of DFT.

**M_tot**: 38.00 Bohr magnetons per cell

Geometry as CIF:
```
data_Fe4O3F5
_chemical_formula_sum 'Fe8 O6 F10'
_cell_length_a 4.815
_cell_length_b 6.169
_cell_length_c 10.093
_cell_angle_alpha 72.22
_cell_angle_beta 88.90
_cell_angle_gamma 89.81
_symmetry_space_group_name_H-M 'P -1'
_symmetry_Int_Tables_number 2
loop_
_symmetry_equiv_pos_as_xyz
'x,y,z'
'-x,-y,-z'
loop_
_atom_site_label
_atom_site_type_symbol
_atom_site_fract_x
_atom_site_fract_y
_atom_site_fract_z
Fe1 Fe 0.000 0.000 0.000
Fe2 Fe 0.000 0.500 0.000
Fe3 Fe 0.001 0.266 0.500
Fe4 Fe 0.427 0.626 0.245
Fe5 Fe 0.466 0.113 0.271
O1 O 0.178 0.691 0.092
O2 O 0.286 0.824 0.350
O3 O 0.294 0.324 0.352
F1 F 0.202 0.950 0.601
F2 F 0.214 0.446 0.610
F3 F 0.215 0.214 0.101
F4 F 0.314 0.584 0.843
F5 F 0.330 0.077 0.840
```

=====

2.
Computed, not measured: a relaxed structure of Fe4O3F5 at the PBE with a Hubbard U level of DFT.

**M_tot**: 76.00 Bohr magnetons per cell

Geometry as CIF:
```
data_Fe4O3F5
_chemical_formula_sum 'Fe16 O12 F20'
_cell_length_a 9.959
_cell_length_b 6.260
_cell_length_c 9.295
_cell_angle_alpha 90.00
_cell_angle_beta 91.69
_cell_angle_gamma 90.00
_symmetry_space_group_name_H-M 'C 1 2/m 1'
_symmetry_Int_Tables_number 12
loop_
_symmetry_equiv_pos_as_xyz
'x,y,z'
'-x,-y,-z'
'-x,y,-z'
'x,-y,z'
'x+1/2,y+1/2,z'
'-x+1/2,-y+1/2,-z'
'-x+1/2,y+1/2,-z'
'x+1/2,-y+1/2,z'
loop_
_atom_site_label
_atom_site_type_symbol
_atom_site_fract_x
_atom_site_fract_y
_atom_site_fract_z
Fe1 Fe 0.019 0.000 0.264
Fe2 Fe 0.037 0.500 0.241
Fe3 Fe 0.250 0.250 0.000
Fe4 Fe 0.250 0.250 0.500
O1 O 0.104 0.248 0.357
O2 O 0.157 0.500 0.092
F1 F 0.084 0.247 0.837
F2 F 0.141 0.000 0.102
F3 F 0.154 0.000 0.603
F4 F 0.158 0.500 0.598
```

=====

Least stable structure: 2

=====

1.
Computed, not measured: a relaxed structure of Fe4O3F5 at the PBE with a Hubbard U level of DFT.

**M_tot**: 38.00 Bohr magnetons per cell

Geometry as CIF:
```
data_Fe4O3F5
_chemical_formula_sum 'Fe8 O6 F10'
_cell_length_a 4.822
_cell_length_b 6.152
_cell_length_c 9.663
_cell_angle_alpha 90.11
_cell_angle_beta 90.71
_cell_angle_gamma 90.15
_symmetry_space_group_name_H-M 'P 1'
_symmetry_Int_Tables_number 1
loop_
_symmetry_equiv_pos_as_xyz
'x,y,z'
loop_
_atom_site_label
_atom_site_type_symbol
_atom_site_fract_x
_atom_site_fract_y
_atom_site_fract_z
Fe1 Fe 0.000 0.000 0.000
Fe2 Fe 0.000 0.001 0.503
Fe3 Fe 0.452 0.752 0.260
Fe4 Fe 0.488 0.248 0.241
Fe5 Fe 0.520 0.751 0.764
Fe6 Fe 0.551 0.250 0.746
Fe7 Fe 0.951 0.500 0.480
Fe8 Fe 0.977 0.500 0.987
O1 O 0.163 0.753 0.407
O2 O 0.306 0.003 0.162
O3 O 0.659 0.497 0.341
O4 O 0.691 0.502 0.836
O5 O 0.699 0.000 0.839
O6 O 0.814 0.247 0.584
F1 F 0.186 0.250 0.396
F2 F 0.200 0.749 0.893
F3 F 0.214 0.251 0.891
F4 F 0.284 0.498 0.147
F5 F 0.302 0.504 0.646
F6 F 0.305 0.998 0.647
F7 F 0.685 0.001 0.353
F8 F 0.778 0.747 0.107
F9 F 0.785 0.753 0.594
F10 F 0.794 0.254 0.104
```

=====

2.
Computed, not measured: a relaxed structure of Fe4O3F5 at the PBE with a Hubbard U level of DFT.

**M_tot**: 38.00 Bohr magnetons per cell

Geometry as CIF:
```
data_Fe4O3F5
_chemical_formula_sum 'Fe8 O6 F10'
_cell_length_a 4.846
_cell_length_b 6.214
_cell_length_c 9.655
_cell_angle_alpha 90.00
_cell_angle_beta 91.99
_cell_angle_gamma 90.00
_symmetry_space_group_name_H-M 'P 1 21/m 1'
_symmetry_Int_Tables_number 11
loop_
_symmetry_equiv_pos_as_xyz
'x,y,z'
'-x,-y,-z'
'-x,y+1/2,-z'
'x,-y+1/2,z'
loop_
_atom_site_label
_atom_site_type_symbol
_atom_site_fract_x
_atom_site_fract_y
_atom_site_fract_z
Fe1 Fe 0.000 0.000 0.000
Fe2 Fe 0.000 0.000 0.500
Fe3 Fe 0.409 0.250 0.259
Fe4 Fe 0.461 0.750 0.231
O1 O 0.181 0.250 0.407
O2 O 0.286 0.503 0.142
F1 F 0.182 0.750 0.906
F2 F 0.200 0.250 0.900
F3 F 0.216 0.750 0.396
F4 F 0.328 0.003 0.669
```

=====

Least stable structure: 2

=====

1.
Computed, not measured: a relaxed structure of Li2MnP4O12 at the PBE with a Hubbard U level of DFT.

**M_tot**: 20.00 Bohr magnetons per cell

Geometry as CIF:
```
data_Li2MnP4O12
_chemical_formula_sum 'Li8 Mn4 P16 O48'
_cell_length_a 8.074
_cell_length_b 9.531
_cell_length_c 15.599
_cell_angle_alpha 90.00
_cell_angle_beta 120.98
_cell_angle_gamma 90.00
_symmetry_space_group_name_H-M 'P 1 21/c 1'
_symmetry_Int_Tables_number 14
loop_
_symmetry_equiv_pos_as_xyz
'x,y,z'
'-x,-y,-z'
'-x,y+1/2,-z+1/2'
'x,-y+1/2,z+1/2'
loop_
_atom_site_label
_atom_site_type_symbol
_atom_site_fract_x
_atom_site_fract_y
_atom_site_fract_z
Li1 Li 0.006 0.249 0.010
Li2 Li 0.043 0.691 0.679
Mn1 Mn 0.385 0.250 0.005
P1 P 0.032 0.007 0.361
P2 P 0.305 0.505 0.347
P3 P 0.309 0.003 0.139
P4 P 0.392 0.010 0.346
O1 O 0.017 0.123 0.606
O2 O 0.103 0.137 0.427
O3 O 0.151 0.576 0.240
O4 O 0.172 0.534 0.818
O5 O 0.187 0.627 0.617
O6 O 0.214 0.124 0.861
O7 O 0.236 0.118 0.062
O8 O 0.344 0.077 0.241
O9 O 0.370 0.618 0.425
O10 O 0.471 0.123 0.423
O11 O 0.476 0.045 0.830
O12 O 0.499 0.124 0.636
```

=====

2.
Computed, not measured: a relaxed structure of Li2MnP4O12 at the PBE with a Hubbard U level of DFT.

**M_tot**: 10.00 Bohr magnetons per cell

Geometry as CIF:
```
data_Li2MnP4O12
_chemical_formula_sum 'Li4 Mn2 P8 O24'
_cell_length_a 9.433
_cell_length_b 9.433
_cell_length_c 4.676
_cell_angle_alpha 90.00
_cell_angle_beta 90.00
_cell_angle_gamma 90.00
_symmetry_space_group_name_H-M 'P 4/n b m'
_symmetry_Int_Tables_number 125
loop_
_symmetry_equiv_pos_as_xyz
'x,y,z'
'-x,-y,-z'
'-y+1/2,x,z'
'y+1/2,-x,-z'
'-x+1/2,-y+1/2,z'
'x+1/2,y+1/2,-z'
'y,-x+1/2,z'
'-y,x+1/2,-z'
'x,-y+1/2,-z'
'-x,y+1/2,z'
'-y+1/2,-x+1/2,-z'
'y+1/2,x+1/2,z'
'-x+1/2,y,-z'
'x+1/2,-y,z'
'y,x,-z'
'-y,-x,z'
loop_
_atom_site_label
_atom_site_type_symbol
_atom_site_fract_x
_atom_site_fract_y
_atom_site_fract_z
Li1 Li 0.000 0.000 0.000
Mn1 Mn 0.250 0.250 0.000
P1 P 0.028 0.750 0.500
O1 O 0.048 0.179 0.257
O2 O 0.137 0.637 0.649
```

=====

Least stable structure: 2

=====

1.
Computed, not measured: a relaxed structure of MnZnSi2O6 at the PBE with a Hubbard U level of DFT.

**M_tot**: 0.00 Bohr magnetons per cell

Geometry as CIF:
```
data_MnZnSi2O6
_chemical_formula_sum 'Mn4 Zn4 Si8 O24'
_cell_length_a 9.989
_cell_length_b 9.537
_cell_length_c 5.409
_cell_angle_alpha 90.00
_cell_angle_beta 111.02
_cell_angle_gamma 90.00
_symmetry_space_group_name_H-M 'C 1 2/c 1'
_symmetry_Int_Tables_number 15
loop_
_symmetry_equiv_pos_as_xyz
'x,y,z'
'-x,-y,-z'
'-x,y,-z+1/2'
'x,-y,z+1/2'
'x+1/2,y+1/2,z'
'-x+1/2,-y+1/2,-z'
'-x+1/2,y+1/2,-z+1/2'
'x+1/2,-y+1/2,z+1/2'
loop_
_atom_site_label
_atom_site_type_symbol
_atom_site_fract_x
_atom_site_fract_y
_atom_site_fract_z
Mn1 Mn 0.000 0.106 0.250
Zn1 Zn 0.000 0.237 0.750
Si1 Si 0.197 0.417 0.219
O1 O 0.117 0.268 0.117
O2 O 0.126 0.087 0.662
O3 O 0.148 0.476 0.461
```

=====

2.
Computed, not measured: a relaxed structure of MnZnSi2O6 at the PBE with a Hubbard U level of DFT.

**M_tot**: 40.00 Bohr magnetons per cell

Geometry as CIF:
```
data_MnZnSi2O6
_chemical_formula_sum 'Mn8 Zn8 Si16 O48'
_cell_length_a 5.340
_cell_length_b 18.770
_cell_length_c 9.208
_cell_angle_alpha 90.00
_cell_angle_beta 90.00
_cell_angle_gamma 90.00
_symmetry_space_group_name_H-M 'P b c a'
_symmetry_Int_Tables_number 61
loop_
_symmetry_equiv_pos_as_xyz
'x,y,z'
'-x,-y,-z'
'-x+1/2,-y,z+1/2'
'x+1/2,y,-z+1/2'
'x+1/2,-y+1/2,-z'
'-x+1/2,y+1/2,z'
'-x,y+1/2,-z+1/2'
'x,-y+1/2,z+1/2'
loop_
_atom_site_label
_atom_site_type_symbol
_atom_site_fract_x
_atom_site_fract_y
_atom_site_fract_z
Mn1 Mn 0.120 0.123 0.012
Zn1 Zn 0.116 0.125 0.648
Si1 Si 0.062 0.729 0.162
Si2 Si 0.208 0.025 0.335
O1 O 0.057 0.684 0.663
O2 O 0.064 0.690 0.005
O3 O 0.081 0.551 0.211
O4 O 0.169 0.199 0.234
O5 O 0.207 0.563 0.838
O6 O 0.209 0.565 0.484
```

=====

Least stable structure: 2